P:
# Ba5Na2Ru3O14, optimized geometry, DFT GGA-PBE
# Mass density = 5.49 g/cm3
data_Ba5Na2Ru3O14
_cell_length_a 5.9137
_cell_length_b 24.7410
_cell_length_c 5.9778
_cell_angle_alpha 90.00
_cell_angle_beta 119.36
_cell_angle_gamma 90.00
_symmetry_space_group_name_H-M 'P 1 21 1'
_symmetry_Int_Tables_number 4
_symmetry_space_group_name_Hall 'P 2yb'
loop_
_atom_site_label
_atom_site_type_symbol
_atom_site_fract_x
_atom_site_fract_y
_atom_site_fract_z
Ba1 Ba 0.0058 0.0000 0.0234
Ba2 Ba 0.0142 0.8295 0.0235
Ba3 Ba 0.3197 0.6057 0.6424
Ba4 Ba 0.3258 0.2213 0.6283
Ba5 Ba 0.3427 0.9151 0.6863
Na1 Na 0.3224 0.7635 0.6813
Na2 Na 0.3455 0.0672 0.6817
Ru1 Ru 0.0038 0.6624 0.0121
Ru2 Ru 0.3250 0.3578 0.6472
Ru3 Ru 0.3263 0.4706 0.6482
O1 O 0.0107 0.3184 0.4910
O2 O 0.0139 0.5126 0.4925
O3 O 0.0715 0.7225 0.8742
O4 O 0.1728 0.4147 0.8001
O5 O 0.1753 0.4145 0.3474
O6 O 0.1793 0.1292 0.3300
O7 O 0.1817 0.6975 0.3540
O8 O 0.2389 0.6075 0.1272
O9 O 0.2872 0.1536 0.9546
O10 O 0.3708 0.9137 0.2010
O11 O 0.4703 0.3150 0.9543
O12 O 0.4800 0.3167 0.4869
O13 O 0.4850 0.5106 0.4923
O14 O 0.4885 0.5118 0.9593



Q:
# Ba5Na2Ru3O14, optimized geometry, DFT GGA-PBE
# Mass density = 5.54 g/cm3
data_Ba5Na2Ru3O14
_cell_length_a 5.9807
_cell_length_b 10.2981
_cell_length_c 24.5200
_cell_angle_alpha 90.00
_cell_angle_beta 90.00
_cell_angle_gamma 90.00
_symmetry_space_group_name_H-M 'C m c 21'
_symmetry_Int_Tables_number 36
_symmetry_space_group_name_Hall 'C 2c -2'
loop_
_atom_site_label
_atom_site_type_symbol
_atom_site_fract_x
_atom_site_fract_y
_atom_site_fract_z
Ba1 Ba 0.0000 0.0056 0.0000
Ba2 Ba 0.0000 0.0059 0.3222
Ba3 Ba 0.0000 0.3298 0.7154
Ba4 Ba 0.0000 0.3362 0.4083
Ba5 Ba 0.0000 0.3387 0.1066
Na1 Na 0.0000 0.3384 0.2554
Na2 Na 0.0000 0.3444 0.5567
Ru1 Ru 0.0000 0.0066 0.1595
Ru2 Ru 0.0000 0.3270 0.8520
Ru3 Ru 0.0000 0.3321 0.9650
O1 O 0.0000 0.1457 0.2057
O2 O 0.0000 0.1768 0.9099
O3 O 0.0000 0.4814 0.8096
O4 O 0.0000 0.4931 0.0005
O5 O 0.2202 0.1071 0.6902
O6 O 0.2221 0.0562 0.1070
O7 O 0.2262 0.4030 0.9072
O8 O 0.2325 0.2478 0.8114
O9 O 0.2368 0.2611 0.0073



Which of them is most stable? Easy: P.



P:
# BaNb8O14, optimized geometry, DFT GGA-PBE
# Mass density = 6.05 g/cm3
data_BaNb8O14
_cell_length_a 24.0733
_cell_length_b 10.5171
_cell_length_c 9.5844
_cell_angle_alpha 90.00
_cell_angle_beta 90.00
_cell_angle_gamma 90.00
_symmetry_space_group_name_H-M 'C m c 21'
_symmetry_Int_Tables_number 36
_symmetry_space_group_name_Hall 'C 2c -2'
loop_
_atom_site_label
_atom_site_type_symbol
_atom_site_fract_x
_atom_site_fract_y
_atom_site_fract_z
Ba1 Ba 0.1352 0.2412 0.0000
Nb1 Nb 0.0000 0.0889 0.8891
Nb2 Nb 0.0000 0.4097 0.1225
Nb3 Nb 0.0664 0.3290 0.6297
Nb4 Nb 0.0671 0.1744 0.3801
Nb5 Nb 0.1207 0.0888 0.6236
Nb6 Nb 0.1236 0.4145 0.3880
Nb7 Nb 0.1824 0.3235 0.6281
Nb8 Nb 0.1830 0.1747 0.3808
Nb9 Nb 0.2465 0.4352 0.1429
O1 O 0.0000 0.0694 0.2763
O2 O 0.0000 0.2501 0.0071
O3 O 0.0000 0.2505 0.5051
O4 O 0.0000 0.4314 0.7361
O5 O 0.0620 0.1662 0.7645
O6 O 0.0631 0.0033 0.9979
O7 O 0.0628 0.3368 0.2497
O8 O 0.0632 0.4973 0.0128
O9 O 0.1249 0.0931 0.2476
O10 O 0.1249 0.4039 0.7649
O11 O 0.1865 0.4985 0.5146
O12 O 0.1884 0.1559 0.7471
O13 O 0.1877 0.3394 0.2534
O14 O 0.1891 0.0119 0.5114
O15 O 0.2470 0.2330 0.5171
O16 O 0.2490 0.0872 0.2511



Q:
# BaNb8O14, optimized geometry, DFT GGA-PBE
# Mass density = 6.00 g/cm3
data_BaNb8O14
_cell_length_a 13.1646
_cell_length_b 9.6737
_cell_length_c 10.4505
_cell_angle_alpha 90.00
_cell_angle_beta 113.17
_cell_angle_gamma 90.00
_symmetry_space_group_name_H-M 'P 1 21/c 1'
_symmetry_Int_Tables_number 14
_symmetry_space_group_name_Hall '-P 2ybc'
loop_
_atom_site_label
_atom_site_type_symbol
_atom_site_fract_x
_atom_site_fract_y
_atom_site_fract_z
Ba1 Ba 0.2281 0.0142 0.3796
Nb1 Nb 0.0070 0.6540 0.5810
Nb2 Nb 0.1341 0.1119 0.7251
Nb3 Nb 0.1374 0.6231 0.3891
Nb4 Nb 0.2577 0.6184 0.2121
Nb5 Nb 0.2590 0.1164 0.0410
Nb6 Nb 0.3657 0.1223 0.8532
Nb7 Nb 0.3679 0.6249 0.5086
Nb8 Nb 0.4973 0.6165 0.8385
O1 O 0.0023 0.2428 0.0853
O2 O 0.0074 0.0129 0.7709
O3 O 0.1173 0.5010 0.5519
O4 O 0.1225 0.2383 0.9028
O5 O 0.1316 0.7441 0.7244
O6 O 0.1378 0.9997 0.5697
O7 O 0.2499 0.2445 0.2179
O8 O 0.2512 0.7468 0.0312
O9 O 0.3733 0.2456 0.5217
O10 O 0.3744 0.5070 0.6891
O11 O 0.3763 0.0063 0.6829
O12 O 0.3799 0.7416 0.8550
O13 O 0.4987 0.2281 0.8191
O14 O 0.5000 0.0000 0.0000
O15 O 0.5000 0.0000 0.5000



Which of them is most stable? Easy: P.